Record 1
! Mg3Al2Cu4, relaxed, DFT meta-GGA r2SCAN; values from VASP
&SYSTEM
  ibrav = 0, nat = 18, ntyp = 3
/
ATOMIC_SPECIES
Mg 24.30 Mg.upf
Al 26.98 Al.upf
Cu 63.55 Cu.upf
ATOMIC_POSITIONS angstrom
Mg 0.000 1.511 6.556
Mg 0.000 7.322 2.664
Mg 0.000 4.401 10.589
Mg 0.000 7.323 5.618
Mg 0.000 4.433 1.585
Mg 0.000 1.511 9.510
Al 0.000 1.565 2.096
Al 0.000 7.268 10.078
Al 0.000 4.417 6.087
Al 0.000 0.000 0.000
Cu 0.000 5.880 8.067
Cu 0.000 2.954 4.107
Cu -1.267 2.181 0.006
Cu 1.267 3.706 8.101
Cu -1.267 5.128 4.073
Cu 1.267 5.128 4.073
Cu 1.267 2.181 0.006
Cu -1.267 3.706 8.101
CELL_PARAMETERS angstrom
2.534 4.362 0.013
-2.534 4.362 0.013
0.000 0.110 12.148
! * total energy: -7.933 eV per atom
! * spin magnetization: 0.0 μB/cell
! * energy relative to the elements: -2.042 eV/f.u.

***

Record 2
! H, relaxed, DFT meta-GGA r2SCAN; values from VASP
&SYSTEM
  ibrav = 0, nat = 4, ntyp = 1
/
ATOMIC_SPECIES
H 1.01 H.upf
ATOMIC_POSITIONS angstrom
H -4.822 2.510 1.889
H -4.147 -0.429 2.107
H -4.522 3.432 -0.888
H -3.847 0.493 -0.670
CELL_PARAMETERS angstrom
-2.594 -2.570 1.955
-3.234 4.013 0.984
-2.840 1.559 -1.720
! * total energy: -3.454 eV per atom
! * spin magnetization: 0.0 μB/cell
! * energy relative to the elements: 0.002 eV/f.u.
! * energy above the most stable polymorph in this dataset: 0 kJ/mol of formula units

***

Record 3
! Ca3PbO, relaxed, DFT meta-GGA r2SCAN; values from VASP
&SYSTEM
  ibrav = 0, nat = 5, ntyp = 3
/
ATOMIC_SPECIES
Ca 40.08 Ca.upf
Pb 207.20 Pb.upf
O 16.00 O.upf
ATOMIC_POSITIONS angstrom
Ca 2.423 0.000 2.423
Ca 0.000 2.423 2.423
Ca 2.423 2.423 0.000
Pb 0.000 0.000 0.000
O 2.423 2.423 2.423
CELL_PARAMETERS angstrom
4.846 0.000 0.000
0.000 4.846 0.000
0.000 0.000 4.846
! * total energy: -18.434 eV per atom
! * spin magnetization: 0.0 μB/cell
! * energy relative to the elements: -8.797 eV/f.u.

***

Record 4
! Lu2Pt, relaxed, DFT meta-GGA r2SCAN; values from VASP
&SYSTEM
  ibrav = 0, nat = 12, ntyp = 2
/
ATOMIC_SPECIES
Lu 174.97 Lu.upf
Pt 195.08 Pt.upf
ATOMIC_POSITIONS angstrom
Lu -4.473 -3.490 -4.941
Lu -1.001 -3.490 -7.869
Lu -2.470 -1.163 -3.599
Lu -5.942 -1.163 -0.671
Lu -3.547 -3.490 -1.429
Lu -0.076 -3.490 -2.841
Lu -3.396 -1.163 -7.111
Lu -6.867 -1.163 -5.699
Pt -1.677 -3.490 -5.086
Pt -5.148 -3.490 -7.725
Pt -5.266 -1.163 -3.455
Pt -1.795 -1.163 -0.815
CELL_PARAMETERS angstrom
0.000 -4.653 0.000
-6.943 0.000 0.000
0.000 0.000 -8.540
! * total energy: -43.676 eV per atom
! * spin magnetization: 0.0 μB/cell
! * energy relative to the elements: -3.379 eV/f.u.

***

Record 5
! Na4NpO5, relaxed, DFT meta-GGA r2SCAN; values from VASP
&SYSTEM
  ibrav = 0, nat = 10, ntyp = 3
/
ATOMIC_SPECIES
Na 22.99 Na.upf
Np 237.00 Np.upf
O 16.00 O.upf
ATOMIC_POSITIONS angstrom
Na 0.367 1.415 2.963
Na -1.786 -1.007 2.628
Na -2.423 1.917 1.170
Na -4.576 -0.505 0.835
Np 0.000 0.000 0.000
O -0.100 2.167 0.762
O -1.200 -1.850 5.101
O -1.966 -0.203 0.320
O -2.243 1.113 3.478
O -3.009 2.759 -1.303
CELL_PARAMETERS angstrom
3.177 0.937 4.690
-3.377 3.397 -3.165
-4.009 -3.425 2.273
! * total energy: -15.206 eV per atom
! * spin magnetization: 1.0 μB/cell
! * energy relative to the elements: -24.921 eV/f.u.

***

Record 6
! CuAsSe, relaxed, DFT meta-GGA r2SCAN; values from VASP
&SYSTEM
  ibrav = 0, nat = 12, ntyp = 3
/
ATOMIC_SPECIES
Cu 63.55 Cu.upf
As 74.92 As.upf
Se 78.96 Se.upf
ATOMIC_POSITIONS angstrom
Cu 0.984 0.491 9.771
Cu 2.951 5.076 1.971
Cu 2.951 3.275 7.842
Cu 0.984 2.293 3.900
As 0.984 2.003 11.560
As 2.951 3.564 0.181
As 2.951 4.787 6.052
As 0.984 0.781 5.690
Se 0.984 1.906 7.833
Se 2.951 3.662 3.909
Se 2.951 4.689 9.779
Se 0.984 0.878 1.962
CELL_PARAMETERS angstrom
3.934 0.000 0.000
0.000 5.567 0.000
0.000 0.000 11.742
! * total energy: -13.462 eV per atom
! * spin magnetization: 0.0 μB/cell
! * energy relative to the elements: -0.520 eV/f.u.

***

Record 7
! Ba3Li4As4, relaxed, DFT meta-GGA r2SCAN; values from VASP
&SYSTEM
  ibrav = 0, nat = 11, ntyp = 3
/
ATOMIC_SPECIES
Ba 137.33 Ba.upf
Li 6.94 Li.upf
As 74.92 As.upf
ATOMIC_POSITIONS angstrom
Ba -1.727 -0.417 3.770
Ba -5.151 3.397 1.216
Ba 0.000 0.000 0.000
Li -4.423 -1.998 4.885
Li -2.455 4.979 0.101
Li -3.161 2.579 3.748
Li -3.716 0.402 1.239
As -2.314 -2.215 0.966
As -5.022 0.484 3.715
As -1.856 2.497 1.272
As -4.563 5.195 4.021
CELL_PARAMETERS angstrom
-3.867 -1.866 -1.977
-1.162 -3.914 5.966
-1.849 8.760 0.997
! * total energy: -14.527 eV per atom
! * spin magnetization: 0.0 μB/cell
! * energy relative to the elements: -11.917 eV/f.u.

***

Record 8
! DyZn12, relaxed, DFT meta-GGA r2SCAN; values from VASP
&SYSTEM
  ibrav = 0, nat = 13, ntyp = 2
/
ATOMIC_SPECIES
Dy 162.50 Dy.upf
Zn 65.41 Zn.upf
ATOMIC_POSITIONS angstrom
Dy 0.000 0.000 0.000
Zn 2.192 2.192 -1.275
Zn 2.192 2.192 1.275
Zn -2.192 2.192 1.275
Zn 2.192 -2.192 1.275
Zn 3.102 0.000 0.000
Zn 5.665 0.000 0.000
Zn 0.000 5.665 0.000
Zn 0.000 3.102 0.000
Zn 2.483 4.384 0.000
Zn 1.900 0.000 2.551
Zn 0.000 1.900 2.551
Zn 4.384 2.483 0.000
CELL_PARAMETERS angstrom
-4.384 4.384 2.551
4.384 -4.384 2.551
4.384 4.384 -2.551
! * total energy: -10.892 eV per atom
! * spin magnetization: 0.0 μB/cell
! * energy relative to the elements: -2.681 eV/f.u.